1.
DFT (PBE-GGA) results for a geometry-optimized GaH12C4NCl3 structure.

Results
- MP2020-corrected energy (eV/atom) = -4.95
- symmetry = No. 205
- formation enthalpy at 0 K (eV/atom) = -0.4461

Geometry as extended XYZ:
```
168
Lattice="13.047 0.000 0.000 0.000 13.047 0.000 0.000 0.000 13.047" Properties=species:S:1:pos:R:3 pbc="T T T"
Ga 0.704 0.704 0.704
Ga 0.704 5.819 7.228
Ga 5.819 12.343 7.228
Ga 12.343 12.343 12.343
Ga 7.228 0.704 5.819
Ga 7.228 5.819 12.343
Ga 12.343 7.228 5.819
Ga 5.819 7.228 0.704
H 12.064 3.080 3.695
H 8.298 9.538 7.537
H 4.749 3.509 5.510
H 0.983 9.603 2.829
H 9.894 11.274 10.175
H 0.983 9.967 9.352
H 8.297 2.872 3.370
H 11.272 3.509 1.013
H 1.774 3.652 9.677
H 1.839 8.635 8.488
H 3.014 12.034 4.749
H 9.967 9.352 0.983
H 4.560 8.362 10.935
H 11.208 4.412 4.560
H 1.013 8.298 10.033
H 3.652 9.677 1.774
H 3.370 8.297 2.872
H 11.083 11.208 2.112
H 11.274 9.395 3.370
H 8.635 11.083 8.362
H 3.154 4.750 9.395
H 3.695 12.064 3.080
H 7.507 9.603 3.695
H 9.677 1.774 3.652
H 9.395 3.370 11.274
H 11.272 3.014 7.537
H 9.352 5.540 3.444
H 3.014 7.537 11.272
H 8.488 4.685 2.112
H 9.538 12.034 1.775
H 5.510 1.775 10.033
H 7.507 9.967 10.218
H 12.034 1.775 9.538
H 10.175 9.677 4.750
H 7.537 8.298 9.538
H 5.540 3.444 9.352
H 3.444 10.218 12.064
H 10.218 7.507 9.967
H 5.510 4.749 3.509
H 4.560 11.208 4.412
H 10.935 4.560 8.362
H 9.538 7.537 8.298
H 3.154 1.774 2.872
H 1.774 2.872 3.154
H 7.537 11.272 3.014
H 4.750 10.175 9.677
H 4.750 9.395 3.154
H 12.064 3.444 10.218
H 9.352 0.983 9.967
H 8.635 8.488 1.839
H 10.218 12.064 3.444
H 4.412 1.964 4.685
H 10.175 9.894 11.274
H 2.872 3.154 1.774
H 2.829 0.983 9.603
H 2.112 11.083 11.208
H 8.488 1.839 8.635
H 9.894 8.297 3.652
H 9.603 2.829 0.983
H 2.872 3.370 8.297
H 2.829 5.540 3.080
H 10.033 1.013 8.298
H 4.685 2.112 8.488
H 9.603 3.695 7.507
H 10.935 1.964 1.839
H 8.298 10.033 1.013
H 1.839 10.935 1.964
H 10.033 5.510 1.775
H 2.112 8.488 4.685
H 3.509 1.013 11.272
H 3.080 3.695 12.064
H 1.964 4.685 4.412
H 5.540 3.080 2.829
H 4.412 4.560 11.208
H 9.967 10.218 7.507
H 11.083 8.362 8.635
H 3.080 2.829 5.540
H 4.749 3.014 12.034
H 3.370 11.274 9.395
H 9.677 4.750 10.175
H 11.274 10.175 9.894
H 1.775 9.538 12.034
H 8.362 10.935 4.560
H 1.775 10.033 5.510
H 1.013 11.272 3.509
H 3.695 7.507 9.603
H 8.297 3.652 9.894
H 3.652 9.894 8.297
H 8.362 8.635 11.083
H 12.034 4.749 3.014
H 3.509 5.510 4.749
H 11.208 2.112 11.083
H 1.964 1.839 10.935
H 3.444 9.352 5.540
H 9.395 3.154 4.750
H 4.685 4.412 1.964
C 9.334 3.713 10.236
C 2.527 10.107 11.472
C 10.107 8.098 9.051
C 2.940 1.575 10.520
C 3.996 2.940 4.949
C 11.472 3.996 3.584
C 2.940 4.949 3.996
C 9.334 2.811 3.713
C 9.051 10.107 8.098
C 9.051 9.463 1.575
C 2.811 3.713 9.334
C 3.584 8.098 10.520
C 10.236 9.334 3.713
C 4.949 2.527 9.463
C 9.463 4.949 2.527
C 1.575 10.520 2.940
C 8.098 9.051 10.107
C 2.527 9.463 4.949
C 3.996 3.584 11.472
C 3.713 9.334 2.811
C 10.236 10.236 10.236
C 3.713 10.236 9.334
C 4.949 3.996 2.940
C 10.107 11.472 2.527
C 3.584 11.472 3.996
C 11.472 2.527 10.107
C 10.520 3.584 8.098
C 10.520 2.940 1.575
C 9.463 1.575 9.051
C 1.575 9.051 9.463
C 2.811 2.811 2.811
C 8.098 10.520 3.584
N 2.845 9.369 10.202
N 3.678 3.678 3.678
N 9.369 10.202 2.845
N 3.678 2.845 10.202
N 9.369 9.369 9.369
N 10.202 3.678 2.845
N 10.202 2.845 9.369
N 2.845 10.202 3.678
Cl 10.146 12.949 12.356
Cl 6.621 0.691 3.622
Cl 12.949 12.356 10.146
Cl 6.426 12.356 9.425
Cl 2.901 6.426 7.215
Cl 10.146 6.621 5.832
Cl 6.621 5.832 10.146
Cl 7.215 3.622 12.949
Cl 12.356 9.425 6.426
Cl 5.832 9.425 0.098
Cl 0.098 5.832 9.425
Cl 12.949 7.215 3.622
Cl 3.622 6.621 0.691
Cl 9.425 0.098 5.832
Cl 6.426 7.215 2.901
Cl 12.356 10.146 12.949
Cl 7.215 2.901 6.426
Cl 0.098 0.691 2.901
Cl 2.901 0.098 0.691
Cl 9.425 6.426 12.356
Cl 0.691 2.901 0.098
Cl 0.691 3.622 6.621
Cl 3.622 12.949 7.215
Cl 5.832 10.146 6.621
```

***

2.
DFT (PBE-GGA) results for a geometry-optimized KBrF4 structure.

Results
- MP2020-corrected energy (eV/atom) = -3.71
- symmetry = No. 140
- formation enthalpy at 0 K (eV/atom) = -1.9761

Geometry as extended XYZ:
```
12
Lattice="5.146 -0.867 3.531 -0.179 -3.572 -6.238 3.572 2.348 -4.630" Properties=species:S:1:pos:R:3 pbc="T T T"
K 4.663 -1.849 -1.628
K 3.876 -0.242 -5.709
Br 1.786 1.174 -2.315
Br 2.573 -0.434 1.766
F 2.801 -0.912 -8.198
F 3.275 0.143 -3.008
F 5.739 -1.179 0.861
F 6.535 0.161 -2.133
F 5.265 -2.234 -4.329
F 6.061 -0.894 -7.323
F 2.004 -2.253 -5.204
F 2.479 -1.198 -0.014
```

***

3.
DFT (PBE-GGA) results for a geometry-optimized Sm6Fe13Bi structure.

Results
- symmetry = No. 140
- formation enthalpy at 0 K (eV/atom) = -0.1160

Geometry as extended XYZ:
```
40
Lattice="-1.233 -12.700 2.362 -10.412 -6.285 4.525 3.995 8.677 -8.783" Properties=species:S:1:pos:R:3 pbc="T T T"
Sm -7.023 -11.448 4.153
Sm -1.200 -1.956 0.709
Sm -4.623 -7.537 2.734
Sm -10.446 -17.029 6.177
Sm -7.474 -5.060 -1.675
Sm -6.297 -4.535 1.765
Sm -0.818 -9.038 -1.385
Sm -3.774 -6.972 -0.688
Sm -0.177 -5.248 -0.222
Sm -1.355 -5.773 -3.661
Sm -6.833 -1.270 -0.512
Sm -3.877 -3.336 -1.208
Fe 1.381 -2.011 -3.211
Fe -3.209 1.196 -2.129
Fe -6.988 -9.258 2.119
Fe -0.663 -1.050 -4.016
Fe -4.884 1.621 -3.792
Fe -2.767 -11.929 1.895
Fe -2.837 0.190 -4.274
Fe -4.814 -10.498 2.378
Fe 0.152 -0.686 -1.634
Fe -7.803 -9.622 -0.262
Fe 1.416 -1.177 -5.535
Fe -7.684 -6.877 2.821
Fe -0.871 1.172 -2.926
Fe -5.398 -9.226 0.212
Fe -9.067 -9.131 3.639
Fe 0.033 -3.431 -4.718
Fe -6.780 -11.480 1.029
Fe -2.253 -1.082 -2.108
Fe -2.924 -9.521 0.796
Fe -2.522 2.808 -3.996
Fe 1.439 0.516 -3.617
Fe -6.885 -7.229 0.416
Fe -4.728 -0.787 -2.692
Fe -5.129 -13.116 2.100
Fe -9.090 -10.824 1.720
Fe -0.766 -3.079 -2.313
Bi -2.911 -4.746 1.722
Bi -8.734 -14.239 5.165
```

***

4.
DFT (PBE-GGA) results for a geometry-optimized Be4B25 structure.

Results
- symmetry = No. 13
- formation enthalpy at 0 K (eV/atom) = 0.2104

Geometry as extended XYZ:
```
58
Lattice="9.205 0.000 0.000 0.000 5.139 0.000 0.000 5.105 8.932" Properties=species:S:1:pos:R:3 pbc="T T T"
Be 6.350 2.333 3.225
Be 2.855 4.885 7.691
Be 1.392 4.799 6.173
Be 7.813 2.247 1.707
Be 2.855 7.911 5.706
Be 6.350 5.358 1.240
Be 7.813 5.445 2.759
Be 1.392 7.997 7.225
B 6.159 5.882 5.107
B 3.047 3.329 0.642
B 1.486 3.376 3.731
B 7.719 5.928 8.197
B 3.047 4.362 3.824
B 6.159 6.915 8.290
B 7.719 6.868 5.201
B 1.486 4.315 0.735
B 0.747 5.905 1.497
B 5.651 8.511 7.459
B 8.458 8.457 5.963
B 3.554 5.959 2.993
B 8.458 4.339 7.434
B 3.554 1.732 1.473
B 0.747 1.786 2.969
B 5.651 4.285 5.939
B 6.008 5.378 3.198
B 3.197 7.930 7.664
B 0.989 3.149 5.438
B 8.216 0.597 0.972
B 3.197 4.866 5.733
B 6.008 2.313 1.267
B 8.216 7.095 3.493
B 0.989 9.647 7.959
B 4.617 5.940 5.965
B 4.589 3.387 1.499
B 9.055 3.398 2.977
B 0.150 5.951 7.443
B 4.589 4.304 2.967
B 4.617 6.856 7.433
B 0.150 6.846 5.955
B 9.055 4.293 1.489
B 1.530 5.879 8.850
B 6.130 3.539 0.174
B 7.676 3.327 4.384
B 3.075 6.092 4.640
B 7.676 4.364 0.082
B 3.075 6.704 8.757
B 1.530 6.917 4.547
B 6.130 4.152 4.291
B 4.679 6.841 4.313
B 4.526 9.393 8.779
B 9.205 4.267 4.498
B 0.000 1.715 0.032
B 4.526 3.403 4.618
B 4.679 0.850 0.152
B 0.000 5.977 4.434
B 9.205 8.529 8.900
B 5.039 1.276 2.233
B 4.167 3.829 6.699
```

***

5.
DFT (PBE-GGA) results for a geometry-optimized Cs5Nb2S4Cl9 structure.

Results
- MP2020-corrected energy (eV/atom) = -4.78
- symmetry = No. 71
- formation enthalpy at 0 K (eV/atom) = -1.8849

Geometry as extended XYZ:
```
20
Lattice="-3.698 5.253 8.324 3.698 -5.253 8.324 3.698 5.253 -8.324" Properties=species:S:1:pos:R:3 pbc="T T T"
Cs 3.698 2.939 2.733
Cs 0.000 2.314 11.057
Cs 0.000 5.253 0.000
Cs 0.000 2.314 5.590
Cs 3.698 2.939 -2.733
Nb 0.000 0.000 1.475
Nb 0.000 0.000 15.172
S 5.612 0.996 0.000
S 1.915 4.257 8.324
S -1.915 4.257 8.324
S 1.783 0.996 0.000
Cl 5.647 0.000 3.351
Cl 3.698 2.686 6.185
Cl -1.950 5.253 4.973
Cl 0.000 2.566 2.139
Cl 3.698 -2.686 6.185
Cl 1.748 0.000 3.351
Cl 1.950 5.253 4.973
Cl 0.000 7.939 2.139
Cl 0.000 0.000 8.324
```

***

6.
DFT (PBE-GGA) results for a geometry-optimized Na6MgSi2Ge3P4O24 structure.

Results
- MP2020-corrected energy (eV/atom) = -6.94
- symmetry = No. 1
- formation enthalpy at 0 K (eV/atom) = -2.5690

Geometry as extended XYZ:
```
120
Lattice="-3.909 -0.226 7.801 -2.477 -5.517 -6.300 14.674 -14.289 6.916" Properties=species:S:1:pos:R:3 pbc="T T T"
Na 7.321 -7.170 3.516
Na 14.661 -14.283 6.913
Na 8.922 -13.710 8.932
Na 1.415 -6.666 5.231
Na -0.554 -6.077 -0.507
Na 6.841 -13.257 2.942
Na 1.040 -3.689 6.637
Na -1.885 -7.148 5.435
Na 6.955 -14.175 6.168
Na 6.170 -12.946 10.581
Na 3.603 -13.917 3.118
Na -3.118 -5.103 1.403
Na 0.313 -3.079 -1.349
Na 8.042 -17.039 9.679
Na 11.424 -14.863 7.060
Na 1.601 -7.702 8.563
Na 4.666 -6.166 5.180
Na 1.636 -9.870 4.178
Mg -1.182 -10.798 3.954
Mg 6.675 -11.764 7.826
Mg -0.752 -4.611 4.364
Si 4.454 -11.966 5.325
Si -4.105 -4.904 4.153
Si 9.361 -16.922 6.939
Si 12.330 -15.176 4.279
Si 9.731 -18.445 2.953
Si 1.362 -11.418 1.676
Ge 8.682 -12.489 13.710
Ge 7.009 -14.693 -1.775
Ge -0.340 -7.621 -5.229
Ge 10.903 -15.989 9.868
Ge 3.706 -8.912 6.458
Ge -2.723 -3.995 -1.554
Ge 4.702 -11.211 2.055
Ge 1.611 -8.245 0.570
Ge 9.001 -15.457 4.002
P 0.123 -9.182 -2.265
P -0.804 -7.670 2.753
P 2.920 -5.241 -0.023
P 9.243 -12.350 5.603
P 9.194 -14.728 0.757
P 5.779 -16.356 4.492
P 3.975 -10.439 9.451
P 7.006 -8.631 6.665
P -1.456 -1.578 5.501
P -1.068 -3.087 1.399
P 3.830 -8.186 3.101
P 4.316 -9.608 -0.881
O 3.752 -4.588 3.733
O -0.550 -8.986 3.467
O 0.210 -5.690 8.676
O 10.715 -12.623 6.002
O 6.047 -16.253 8.189
O 8.526 -11.836 11.938
O 4.645 -15.335 4.903
O 9.116 -11.011 4.802
O 7.963 -14.501 -0.158
O -2.312 -7.536 2.263
O 2.170 -3.882 0.282
O -0.133 -8.155 -3.433
O 5.076 -11.401 9.085
O 7.083 -9.854 7.531
O 5.739 -12.257 6.181
O -2.645 -5.102 4.743
O -0.644 -2.832 5.289
O -0.804 -4.079 2.486
O -2.185 -2.054 1.762
O -4.224 -3.519 3.224
O -2.729 -1.514 4.610
O 5.525 -8.373 6.153
O 3.624 -10.562 5.716
O 3.727 -9.330 8.324
O 10.523 -17.967 6.490
O 12.486 -16.515 5.201
O 11.140 -18.480 3.756
O 2.906 -11.543 2.165
O 4.636 -9.428 2.679
O 4.580 -10.594 0.255
O 3.220 -8.552 -0.475
O 1.146 -10.036 0.769
O 2.536 -8.045 2.234
O 10.793 -15.036 3.681
O 8.855 -17.137 3.377
O 9.103 -15.740 5.821
O 3.956 -10.461 -2.100
O 0.499 -11.560 3.026
O 4.840 -7.045 3.008
O 12.792 -14.022 5.339
O 10.276 -18.443 1.383
O 8.066 -17.814 7.400
O 4.351 -9.541 10.678
O 7.845 -8.623 5.359
O 3.271 -13.161 5.425
O -4.532 -6.073 3.042
O -2.041 -1.566 6.988
O 0.191 -2.237 0.962
O 7.858 -11.686 9.590
O 8.420 -12.474 6.875
O 6.346 -13.845 8.443
O -0.386 -6.542 3.685
O -0.463 -5.488 6.329
O 1.368 -4.451 4.461
O 9.811 -16.031 8.262
O 9.332 -15.409 10.729
O 11.195 -14.196 9.407
O 3.370 -7.084 6.878
O 3.254 -8.230 4.559
O 1.634 -8.925 6.571
O -1.482 -3.935 0.142
O -1.151 -4.652 -2.309
O -2.969 -5.880 -0.912
O 4.997 -12.973 1.284
O 4.924 -11.988 3.718
O 6.604 -11.031 1.940
O 0.527 -8.180 -1.075
O -0.038 -7.635 1.370
O 1.814 -6.354 0.140
O 8.749 -13.408 4.529
O 8.590 -14.709 2.211
O 6.987 -15.396 4.218
```

***

> Which of these has the highest formation enthalpy at 0 K?

Be4B25

***

> Which value of formation enthalpy at 0 K does entry 4 give?

0.2104 eV/atom